## 1
Entry from the Materials Project: an optimized crystal structure of AlFe2O4 (PBE+U).

Cell: 5.9212 5.9212 5.9212 Å, 60.00 60.00 60.00°
Atoms (fractional coordinates):
Al 0.2500 0.2500 0.2500
Al 0.0000 0.0000 0.0000
Fe 0.6250 0.1250 0.6250
Fe 0.6250 0.6250 0.1250
Fe 0.1250 0.6250 0.6250
Fe 0.6250 0.6250 0.6250
O 0.8755 0.3735 0.8755
O 0.3745 0.3745 0.8765
O 0.8765 0.3745 0.3745
O 0.3745 0.3745 0.3745
O 0.3735 0.8755 0.8755
O 0.8755 0.8755 0.8755
O 0.8755 0.8755 0.3735
O 0.3745 0.8765 0.3745

Results
Total moment = 1.29 μB/atom
Symmetry = Fd-3m (227)
Crystal system = cubic
V = 10.5 Å³ per atom



## 2
Entry from the Materials Project: an optimized crystal structure of AlFe2O4 (PBE+U).

Cell: 6.4406 6.4406 6.4406 Å, 131.18 131.18 71.52°
Atoms (fractional coordinates):
Al 0.0000 0.0000 0.0000
Al 0.7500 0.2500 0.5000
Fe 0.3750 0.6250 0.2500
Fe 0.3750 0.1250 0.7500
Fe 0.3750 0.6250 0.7500
Fe 0.8750 0.6250 0.2500
O 0.7812 0.2600 0.1088
O 0.1512 0.6724 0.8912
O 0.9688 0.9900 0.3912
O 0.5988 0.5776 0.6088
O 0.0100 0.4012 0.9788
O 0.4224 0.0312 0.0212
O 0.3276 0.2188 0.4788
O 0.7400 0.8488 0.5212

Results
Total moment = 1.17 μB/atom
Symmetry = I4_1/a (88)
Crystal system = tetragonal
V = 10.6 Å³ per atom



Which of them is most stable? Easy: 1.